[1]
SnHg2S2Br2 | GGA-PBE | relaxed

Cell lengths 10.6425, 11.1545, 13.1224 Å; angles 64.53, 90.00, 90.00 degrees
With the nearest neighbours (Å) after each atom.
Atoms (fractional coordinates):
Sn  0.6847  0.2277  0.5320  2 S 2.39-2.43, 2 Br 2.52-2.54
Sn  0.8153  0.2277  0.0320  2 S 2.39-2.43, 2 Br 2.52-2.54
Sn  0.3153  0.7723  0.4680  2 S 2.39-2.43, 2 Br 2.52-2.54
Sn  0.1847  0.7723  0.9680  2 S 2.39-2.43, 2 Br 2.52-2.54
Hg  0.6061  0.2314  0.8267  2 S 2.37-2.40
Hg  0.8939  0.2314  0.3267  2 S 2.37-2.40
Hg  0.3939  0.7686  0.1733  2 S 2.37-2.40
Hg  0.1061  0.7686  0.6733  2 S 2.37-2.40
Hg  0.8267  0.4904  0.6286  2 S 3.53-3.59, 1 Br 3.69, 1 Hg 3.76
Hg  0.6733  0.4904  0.1286  2 S 3.53-3.59, 1 Br 3.69, 1 Hg 3.76
Hg  0.1733  0.5096  0.3714  2 S 3.53-3.59, 1 Br 3.69, 1 Hg 3.76
Hg  0.3267  0.5096  0.8714  2 S 3.53-3.59, 1 Br 3.69, 1 Hg 3.76
S  0.5914  0.1126  0.7147  1 Hg 2.37, 1 Sn 2.39
S  0.9086  0.1126  0.2147  1 Hg 2.37, 1 Sn 2.39
S  0.4086  0.8874  0.2853  1 Hg 2.37, 1 Sn 2.39
S  0.0914  0.8874  0.7853  1 Hg 2.37, 1 Sn 2.39
S  0.6051  0.3117  0.9694  1 Hg 2.40, 1 Sn 2.43
S  0.8949  0.3117  0.4694  1 Hg 2.40, 1 Sn 2.43
S  0.3949  0.6883  0.0306  1 Hg 2.40, 1 Sn 2.43
S  0.1051  0.6883  0.5306  1 Hg 2.40, 1 Sn 2.43
Br  0.5320  0.4027  0.4086  1 Sn 2.52
Br  0.9680  0.4027  0.9086  1 Sn 2.52
Br  0.4680  0.5973  0.5914  1 Sn 2.52
Br  0.0320  0.5973  0.0914  1 Sn 2.52
Br  0.6708  0.0371  0.4758  1 Sn 2.54
Br  0.8292  0.0371  0.9758  1 Sn 2.54
Br  0.3292  0.9629  0.5242  1 Sn 2.54
Br  0.1708  0.9629  0.0242  1 Sn 2.54

## Properties
space-group type: No. 14
offset from the most stable computed form: 127 meV per atom
crystal system: monoclinic

[2]
Li2MgAu | GGA-PBE | relaxed

Cell lengths 4.5798, 4.5798, 4.5798 Å; angles 60.00, 60.00, 60.00 degrees
With the nearest neighbours (Å) after each atom.
Atoms (fractional coordinates):
Li  0.5000  0.5000  0.5000  4 Li 2.80, 4 Mg 2.80
Li  0.7500  0.7500  0.7500  4 Li 2.80, 4 Au 2.80
Mg  0.2500  0.2500  0.2500  4 Li 2.80, 4 Au 2.80
Au  0.0000  0.0000  0.0000  4 Li 2.80, 4 Mg 2.80

## Properties
uncorrected energy: -2.61 eV/atom
space-group type: No. 216
crystal system: cubic

[3]
PbS3O10 | GGA-PBE | relaxed

Cell lengths 11.2408, 8.7800, 8.2507 Å; angles 90.00, 90.00, 90.00 degrees
With the nearest neighbours (Å) after each atom.
Atoms (fractional coordinates):
Pb  0.0000  0.7837  0.7500  6 O 2.54-2.79
Pb  0.5000  0.7163  0.2500  6 O 2.54-2.79
Pb  0.0000  0.2163  0.2500  6 O 2.54-2.79
Pb  0.5000  0.2837  0.7500  6 O 2.54-2.79
S  0.0000  0.7841  0.2500  4 O 1.44-1.57
S  0.5000  0.7159  0.7500  4 O 1.44-1.57
S  0.0000  0.2159  0.7500  4 O 1.44-1.57
S  0.5000  0.2841  0.2500  4 O 1.44-1.57
S  0.1743  0.5704  0.4026  3 O 1.44-1.45
S  0.3257  0.9296  0.9026  3 O 1.44-1.45
S  0.6743  0.9296  0.5974  3 O 1.44-1.45
S  0.8257  0.5704  0.0974  3 O 1.44-1.45
S  0.8257  0.4296  0.5974  3 O 1.44-1.45
S  0.6743  0.0704  0.0974  3 O 1.44-1.45
S  0.3257  0.0704  0.4026  3 O 1.44-1.45
S  0.1743  0.4296  0.9026  3 O 1.44-1.45
O  0.9925  0.8673  0.3996  1 S 1.44
O  0.5075  0.6327  0.8996  1 S 1.44
O  0.4925  0.6327  0.6004  1 S 1.44
O  0.0075  0.8673  0.1004  1 S 1.44
O  0.0075  0.1327  0.6004  1 S 1.44
O  0.4925  0.3673  0.1004  1 S 1.44
O  0.5075  0.3673  0.3996  1 S 1.44
O  0.9925  0.1327  0.8996  1 S 1.44
O  0.1114  0.6756  0.2458  2 S 1.57-1.74
O  0.3886  0.8244  0.7458  2 S 1.57-1.74
O  0.6114  0.8244  0.7542  2 S 1.57-1.74
O  0.8886  0.6756  0.2542  2 S 1.57-1.74
O  0.8886  0.3244  0.7542  2 S 1.57-1.74
O  0.6114  0.1756  0.2542  2 S 1.57-1.74
O  0.3886  0.1756  0.2458  2 S 1.57-1.74
O  0.1114  0.3244  0.7458  2 S 1.57-1.74
O  0.1056  0.4302  0.3999  1 S 1.45
O  0.3944  0.0698  0.8999  1 S 1.45
O  0.6056  0.0698  0.6001  1 S 1.45
O  0.8944  0.4302  0.1001  1 S 1.45
O  0.8944  0.5698  0.6001  1 S 1.45
O  0.6056  0.9302  0.1001  1 S 1.45
O  0.3944  0.9302  0.3999  1 S 1.45
O  0.1056  0.5698  0.8999  1 S 1.45
O  0.1603  0.6624  0.5474  1 S 1.45
O  0.3397  0.8376  0.0474  1 S 1.45
O  0.6603  0.8376  0.4526  1 S 1.45
O  0.8397  0.6624  0.9526  1 S 1.45
O  0.8397  0.3376  0.4526  1 S 1.45
O  0.6603  0.1624  0.9526  1 S 1.45
O  0.3397  0.1624  0.5474  1 S 1.45
O  0.1603  0.3376  0.0474  1 S 1.45
O  0.2933  0.5600  0.3373  1 S 1.44
O  0.2067  0.9400  0.8373  1 S 1.44
O  0.7933  0.9400  0.6627  1 S 1.44
O  0.7067  0.5600  0.1627  1 S 1.44
O  0.7067  0.4400  0.6627  1 S 1.44
O  0.7933  0.0600  0.1627  1 S 1.44
O  0.2067  0.0600  0.3373  1 S 1.44
O  0.2933  0.4400  0.8373  1 S 1.44

## Properties
uncorrected energy: -5.95 eV/atom
space-group type: No. 60
crystal system: orthorhombic

[4]
SiO2 | GGA-PBE | relaxed

Cell lengths 13.2754, 22.0112, 13.9375 Å; angles 90.00, 102.48, 90.00 degrees
With the nearest neighbours (Å) after each atom.
Atoms (fractional coordinates):
Si  0.5733  0.1690  0.1909  4 O 1.62-1.63
Si  0.8916  0.6690  0.2821  4 O 1.62-1.63
Si  0.3916  0.8377  0.7821  4 O 1.62-1.63
Si  0.0733  0.3377  0.6909  4 O 1.62-1.63
Si  0.6175  0.1701  0.4254  4 O 1.62-1.63
Si  0.8475  0.6701  0.0477  4 O 1.62-1.63
Si  0.3475  0.8366  0.5477  4 O 1.62-1.63
Si  0.1175  0.3366  0.9254  4 O 1.62-1.63
Si  0.6813  0.5745  0.9470  4 O 1.62-1.63
Si  0.7836  0.0745  0.5260  4 O 1.62-1.63
Si  0.2836  0.4322  0.0260  4 O 1.62-1.63
Si  0.1813  0.9322  0.4470  4 O 1.62-1.63
Si  0.6480  0.4972  0.1181  4 O 1.62-1.63
Si  0.8169  0.9972  0.3549  4 O 1.62-1.63
Si  0.3169  0.5095  0.8549  4 O 1.62-1.63
Si  0.1480  0.0095  0.6181  4 O 1.62-1.63
Si  0.6445  0.3046  0.2045  4 O 1.62-1.63
Si  0.8204  0.8046  0.2685  4 O 1.62-1.63
Si  0.3204  0.7021  0.7685  4 O 1.62-1.63
Si  0.1445  0.2021  0.7046  4 O 1.62-1.63
Si  0.6706  0.3095  0.4329  4 O 1.62-1.63
Si  0.7943  0.8094  0.0401  4 O 1.62-1.63
Si  0.2944  0.6972  0.5402  4 O 1.62-1.63
Si  0.1706  0.1973  0.9329  4 O 1.62-1.63
Si  0.4850  0.4093  0.1817  4 O 1.62-1.63
Si  0.9799  0.9094  0.2913  4 O 1.62-1.63
Si  0.4799  0.5973  0.7913  4 O 1.62-1.63
Si  0.9850  0.0973  0.6817  4 O 1.62-1.63
Si  0.4476  0.1003  0.5070  4 O 1.61-1.63
Si  0.0173  0.6003  0.9660  4 O 1.61-1.63
Si  0.5173  0.9064  0.4660  4 O 1.61-1.63
Si  0.9476  0.4064  0.0070  4 O 1.61-1.63
Si  0.7542  0.5556  0.3170  4 O 1.62-1.64
Si  0.7107  0.0556  0.1560  4 O 1.62-1.64
Si  0.2107  0.4511  0.6560  4 O 1.62-1.64
Si  0.2542  0.9511  0.8170  4 O 1.62-1.64
Si  0.3561  0.0027  0.3637  4 O 1.61-1.63
Si  0.1088  0.5027  0.1093  4 O 1.61-1.63
Si  0.6088  0.0041  0.6093  4 O 1.61-1.63
Si  0.8561  0.5041  0.8637  4 O 1.61-1.63
Si  0.1293  0.5034  0.3411  4 O 1.61-1.63
Si  0.3357  0.0034  0.1319  4 O 1.61-1.63
Si  0.8357  0.5033  0.6319  4 O 1.61-1.63
Si  0.6293  0.0033  0.8411  4 O 1.61-1.63
Si  0.8066  0.3881  0.1488  4 O 1.62-1.63
Si  0.6583  0.8881  0.3242  4 O 1.62-1.63
Si  0.1583  0.6186  0.8242  4 O 1.62-1.63
Si  0.3066  0.1186  0.6488  4 O 1.62-1.63
Si  0.5173  0.4185  0.4150  4 O 1.63
Si  0.9476  0.9185  0.0580  4 O 1.63
Si  0.4476  0.5882  0.5580  4 O 1.63
Si  0.0173  0.0882  0.9150  4 O 1.63
Si  0.8709  0.3761  0.5434  4 O 1.62-1.64
Si  0.5940  0.8761  0.9297  4 O 1.62-1.64
Si  0.0940  0.6306  0.4297  4 O 1.62-1.64
Si  0.3709  0.1306  0.0434  4 O 1.62-1.64
Si  0.3269  0.4643  0.4901  4 O 1.62-1.63
Si  0.1380  0.9643  0.9829  4 O 1.62-1.63
Si  0.6380  0.5424  0.4829  4 O 1.62-1.63
Si  0.8269  0.0424  0.9901  4 O 1.62-1.63
Si  0.9107  0.4426  0.3550  4 O 1.62-1.64
Si  0.5543  0.9426  0.1181  4 O 1.62-1.64
Si  0.0543  0.5641  0.6181  4 O 1.62-1.64
Si  0.4107  0.0641  0.8550  4 O 1.62-1.64
O  0.6208  0.5346  0.0154  2 Si 1.62-1.63
O  0.8442  0.0346  0.4577  2 Si 1.62-1.63
O  0.3442  0.4721  0.9577  2 Si 1.62-1.63
O  0.1208  0.9721  0.5154  2 Si 1.62-1.63
O  0.5744  0.1617  0.3074  2 Si 1.63
O  0.8906  0.6617  0.1656  2 Si 1.63
O  0.3906  0.8450  0.6656  2 Si 1.63
O  0.0744  0.3450  0.8074  2 Si 1.63
O  0.8791  0.4002  0.2574  2 Si 1.63
O  0.5858  0.9002  0.2157  2 Si 1.63
O  0.0859  0.6065  0.7156  2 Si 1.63
O  0.3791  0.1065  0.7574  2 Si 1.63
O  0.6421  0.2404  0.4562  2 Si 1.62
O  0.8229  0.7404  0.0169  2 Si 1.62
O  0.3229  0.7663  0.5169  2 Si 1.62
O  0.1421  0.2663  0.9562  2 Si 1.62
O  0.5287  0.1491  0.4816  2 Si 1.61-1.62
O  0.9362  0.6490  0.9914  2 Si 1.61-1.62
O  0.4362  0.8577  0.4914  2 Si 1.61-1.62
O  0.0287  0.3577  0.9816  2 Si 1.61-1.62
O  0.7315  0.3301  0.1494  2 Si 1.62
O  0.7335  0.8301  0.3237  2 Si 1.62
O  0.2335  0.6766  0.8237  2 Si 1.62
O  0.2315  0.1765  0.6494  2 Si 1.62
O  0.7395  0.4490  0.1131  2 Si 1.63
O  0.7254  0.9490  0.3599  2 Si 1.63
O  0.2254  0.5577  0.8599  2 Si 1.63
O  0.2395  0.0577  0.6132  2 Si 1.63
O  0.6239  0.2342  0.1732  2 Si 1.62-1.63
O  0.8411  0.7342  0.2998  2 Si 1.62-1.63
O  0.3411  0.7725  0.7998  2 Si 1.62
O  0.1238  0.2725  0.6732  2 Si 1.62-1.63
O  0.4151  0.4207  0.4617  2 Si 1.63
O  0.0498  0.9207  0.0113  2 Si 1.63
O  0.5498  0.5860  0.5113  2 Si 1.63
O  0.9151  0.0860  0.9617  2 Si 1.63
O  0.9198  0.3998  0.4518  2 Si 1.63-1.64
O  0.5452  0.8998  0.0212  2 Si 1.63-1.64
O  0.0452  0.6069  0.5212  2 Si 1.63-1.64
O  0.4198  0.1069  0.9518  2 Si 1.63-1.64
O  0.3751  0.1350  0.5693  2 Si 1.62
O  0.0898  0.6350  0.9037  2 Si 1.62
O  0.5898  0.8716  0.4037  2 Si 1.62
O  0.8751  0.3717  0.0693  2 Si 1.62
O  0.5460  0.4626  0.1364  2 Si 1.62-1.63
O  0.9189  0.9626  0.3366  2 Si 1.62-1.63
O  0.4189  0.5441  0.8366  2 Si 1.62-1.63
O  0.0460  0.0441  0.6364  2 Si 1.62-1.63
O  0.5974  0.6012  0.8545  2 Si 1.62
O  0.8675  0.1012  0.6186  2 Si 1.62
O  0.3674  0.4055  0.1186  2 Si 1.62
O  0.0975  0.9055  0.3544  2 Si 1.62
O  0.7216  0.1298  0.4614  2 Si 1.63
O  0.7433  0.6298  0.0116  2 Si 1.63
O  0.2433  0.8769  0.5116  2 Si 1.63
O  0.2216  0.3769  0.9614  2 Si 1.63
O  0.4845  0.4254  0.2958  2 Si 1.63
O  0.9804  0.9254  0.1773  2 Si 1.63
O  0.4804  0.5813  0.6773  2 Si 1.63
O  0.9845  0.0813  0.7958  2 Si 1.63
O  0.3797  0.0715  0.4055  2 Si 1.63
O  0.0853  0.5715  0.0675  2 Si 1.63
O  0.5853  0.9352  0.5675  2 Si 1.63
O  0.8797  0.4352  0.9055  2 Si 1.63
O  0.6886  0.5456  0.2057  2 Si 1.62
O  0.7763  0.0456  0.2673  2 Si 1.62
O  0.2763  0.4611  0.7673  2 Si 1.62
O  0.1886  0.9611  0.7057  2 Si 1.62
O  0.6374  0.1144  0.1540  2 Si 1.62
O  0.8275  0.6144  0.3190  2 Si 1.62
O  0.3275  0.8923  0.8190  2 Si 1.62
O  0.1374  0.3923  0.6540  2 Si 1.62
O  0.4564  0.1660  0.1253  2 Si 1.62
O  0.0085  0.6660  0.3477  2 Si 1.62
O  0.5085  0.8407  0.8477  2 Si 1.62
O  0.9564  0.3407  0.6253  2 Si 1.62
O  0.5757  0.3540  0.4444  2 Si 1.63
O  0.8892  0.8540  0.0286  2 Si 1.63
O  0.3892  0.6527  0.5286  2 Si 1.63
O  0.0757  0.1527  0.9444  2 Si 1.63
O  0.5059  0.0455  0.5759  2 Si 1.63
O  0.9590  0.5455  0.8971  2 Si 1.63
O  0.4590  0.9612  0.3971  2 Si 1.63
O  0.0059  0.4612  0.0759  2 Si 1.63
O  0.2264  0.4640  0.4000  2 Si 1.62
O  0.2386  0.9640  0.0730  2 Si 1.62
O  0.7386  0.5427  0.5730  2 Si 1.62
O  0.7263  0.0427  0.9000  2 Si 1.62
O  0.7613  0.5314  0.9057  2 Si 1.62
O  0.7036  0.0314  0.5673  2 Si 1.61-1.62
O  0.2036  0.4753  0.0673  2 Si 1.62
O  0.2613  0.9753  0.4057  2 Si 1.61-1.62
O  0.6727  0.5691  0.3862  2 Si 1.62-1.63
O  0.7923  0.0691  0.0869  2 Si 1.62-1.63
O  0.2923  0.4376  0.5869  2 Si 1.62-1.63
O  0.1727  0.9376  0.8862  2 Si 1.62-1.63
O  0.1389  0.5729  0.3798  2 Si 1.62
O  0.3260  0.0729  0.0932  2 Si 1.62
O  0.8260  0.4338  0.5932  2 Si 1.62
O  0.6389  0.9338  0.8798  2 Si 1.62
O  0.6902  0.3132  0.3218  2 Si 1.63
O  0.7747  0.8131  0.1513  2 Si 1.63
O  0.2747  0.6935  0.6513  2 Si 1.63
O  0.1902  0.1935  0.8218  2 Si 1.63
O  0.5376  0.3432  0.1733  2 Si 1.63
O  0.9273  0.8432  0.2997  2 Si 1.63
O  0.4273  0.6635  0.7998  2 Si 1.63
O  0.0376  0.1635  0.6733  2 Si 1.63
O  0.8232  0.4951  0.3557  2 Si 1.64
O  0.6418  0.9951  0.1174  2 Si 1.64
O  0.1418  0.5116  0.6174  2 Si 1.64
O  0.3232  0.0116  0.8557  2 Si 1.64
O  0.0215  0.4741  0.3566  2 Si 1.62-1.63
O  0.4434  0.9741  0.1165  2 Si 1.62-1.63
O  0.9434  0.5326  0.6165  2 Si 1.62-1.63
O  0.5215  0.0326  0.8566  2 Si 1.62-1.63
O  0.3274  0.0039  0.2457  2 Si 1.61
O  0.1374  0.5040  0.2273  2 Si 1.61
O  0.6374  0.0027  0.7273  2 Si 1.61
O  0.8274  0.5027  0.7457  2 Si 1.61
O  0.7770  0.3287  0.5073  2 Si 1.62
O  0.6879  0.8287  0.9658  2 Si 1.62
O  0.1879  0.6780  0.4658  2 Si 1.62
O  0.2770  0.1780  0.0073  2 Si 1.62
O  0.5949  0.4734  0.4608  2 Si 1.63
O  0.8700  0.9734  0.0122  2 Si 1.63
O  0.3700  0.5333  0.5122  2 Si 1.63
O  0.0949  0.0333  0.9608  2 Si 1.63

## Properties
uncorrected energy: -7.90 eV/atom
space-group type: No. 14
crystal system: monoclinic

[5]
CoSb | GGA-PBE | relaxed

Cell lengths 3.8742, 3.8742, 5.2059 Å; angles 90.00, 90.00, 120.00 degrees
With the nearest neighbours (Å) after each atom.
Atoms (fractional coordinates):
Co  0.0000  0.0000  0.0000  6 Sb 2.59, 2 Co 2.60
Co  0.0000  0.0000  0.5000  6 Sb 2.59, 2 Co 2.60
Sb  0.3333  0.6667  0.2500  6 Co 2.59
Sb  0.6667  0.3333  0.7500  6 Co 2.59

## Properties
uncorrected energy: -5.78 eV/atom
space-group type: No. 194
crystal system: hexagonal

[6]
MgCd4Cu4As4H4O20 | GGA-PBE | relaxed

Cell lengths 6.1300, 7.8481, 9.5255 Å; angles 85.61, 90.00, 90.00 degrees
With the nearest neighbours (Å) after each atom.
Atoms (fractional coordinates):
Mg  0.7500  0.7440  0.4188  4 O 1.93-2.03
Cd  0.2500  0.5956  0.2663  4 O 2.20-2.44
Cd  0.2500  0.1504  0.1881  5 O 2.27-2.47
Cd  0.7500  0.3713  0.6824  6 O 2.32-2.56
Cd  0.7500  0.9622  0.8409  5 O 2.26-2.48, 1 H 2.50
Cu  0.4938  0.5188  0.9608  2 O 1.92-1.94
Cu  0.0163  0.0095  0.5303  4 O 1.97-2.09
Cu  0.0062  0.5188  0.9608  2 O 1.92-1.94
Cu  0.4837  0.0095  0.5303  4 O 1.97-2.09
As  0.2500  0.6110  0.6261  4 O 1.73-1.75
As  0.2500  0.1421  0.8613  4 O 1.73-1.75
As  0.7500  0.3389  0.3367  4 O 1.72-1.77
As  0.7500  0.8573  0.1432  4 O 1.70-1.76
H  0.2500  0.7712  0.0092  1 O 1.00
H  0.2500  0.2604  0.4490  1 O 1.00
H  0.7500  0.2797  0.9876  1 O 0.99
H  0.7500  0.7494  0.6588  1 O 0.99
O  0.5183  0.3605  0.2343  1 As 1.72
O  0.9644  0.8128  0.2622  1 As 1.75
O  0.0156  0.5758  0.7250  1 As 1.73
O  0.4785  0.1321  0.7519  1 As 1.75
O  0.4844  0.5758  0.7250  1 As 1.73
O  0.0215  0.1321  0.7519  1 As 1.75
O  0.9817  0.3605  0.2343  1 As 1.72
O  0.5356  0.8128  0.2622  1 As 1.75
O  0.2500  0.4848  0.4854  1 As 1.73, 1 H 1.82
O  0.2500  0.9813  0.9958  1 H 1.64, 1 As 1.73
O  0.7500  0.4983  0.4547  1 As 1.74, 1 Mg 1.93
O  0.7500  0.0628  0.0709  1 As 1.70, 1 H 1.82
O  0.2500  0.8245  0.5583  1 As 1.75
O  0.2500  0.3199  0.9591  1 As 1.74
O  0.7500  0.1564  0.4588  1 As 1.77
O  0.7500  0.7309  0.9989  1 As 1.76
O  0.2500  0.6443  0.0316  1 H 1.00
O  0.2500  0.1384  0.4268  1 H 1.00
O  0.7500  0.3869  0.9261  1 H 0.99
O  0.7500  0.8602  0.6008  1 H 0.99

## Properties
space-group type: No. 6
offset from the most stable computed form: 24 meV per atom
crystal system: monoclinic